First-principles (meta-GGA r2SCAN) data for crystalline Mn2Nb at its relaxed geometry, as listed in the Materials Project database.

Values from the calculation:
- calculated density (g cm⁻³) = 7.57
- spin magnetization (μB per formula unit) = 2.6
- electronic total energy (eV/f.u.) = -54.3

Cell lengths 5.088, 5.088, 7.937 Å; angles 90.00, 90.00, 120.00 degrees
Positions (direct):
Mn  0.000  0.000  0.250
Mn  0.000  0.000  0.750
Mn  0.170  0.340  0.000
Mn  0.170  0.830  0.000
Mn  0.339  0.170  0.500
Mn  0.660  0.830  0.000
Mn  0.830  0.170  0.500
Mn  0.830  0.661  0.500
Nb  0.333  0.667  0.313
Nb  0.333  0.667  0.687
Nb  0.667  0.333  0.193
Nb  0.667  0.333  0.807

---

First-principles (meta-GGA r2SCAN) data for crystalline Mn3Nb6O11 at its relaxed geometry, as listed in the Materials Project database.

Values from the calculation:
- calculated density (g cm⁻³) = 6.00
- spin magnetization (μB per formula unit) = 15.0
- electronic total energy (eV/f.u.) = -304.6

Cell lengths 6.121, 15.316, 6.121 Å; angles 90.00, 120.00, 90.00 degrees
Positions (direct):
Mn  0.000  0.250  0.000
Mn  0.667  0.784  0.333
Mn  0.333  0.716  0.667
Mn  0.000  0.750  0.000
Mn  0.667  0.284  0.333
Mn  0.333  0.216  0.667
Nb  0.154  0.425  0.846
Nb  0.154  0.925  0.846
Nb  0.692  0.425  0.846
Nb  0.692  0.925  0.846
Nb  0.154  0.425  0.308
Nb  0.154  0.925  0.308
Nb  0.846  0.075  0.692
Nb  0.846  0.575  0.692
Nb  0.308  0.075  0.154
Nb  0.308  0.575  0.154
Nb  0.846  0.075  0.154
Nb  0.846  0.575  0.154
O  0.333  0.347  0.667
O  0.333  0.847  0.667
O  0.667  0.153  0.333
O  0.667  0.653  0.333
O  0.500  0.000  0.000
O  0.500  0.500  0.000
O  0.500  0.000  0.500
O  0.500  0.500  0.500
O  0.000  0.000  0.500
O  0.000  0.500  0.500
O  0.843  0.341  0.157
O  0.843  0.841  0.157
O  0.315  0.341  0.157
O  0.315  0.841  0.157
O  0.843  0.341  0.685
O  0.843  0.841  0.685
O  0.157  0.159  0.315
O  0.157  0.659  0.315
O  0.685  0.159  0.843
O  0.685  0.659  0.843
O  0.157  0.159  0.843
O  0.157  0.659  0.843

---

First-principles (meta-GGA r2SCAN) data for crystalline MnNb2O6 at its relaxed geometry, as listed in the Materials Project database.

Values from the calculation:
- calculated density (g cm⁻³) = 5.24
- spin magnetization (μB per formula unit) = 5.0
- electronic total energy (eV/f.u.) = -124.0

Cell lengths 14.445, 5.795, 5.102 Å; angles 90.00, 90.00, 90.00 degrees
Positions (direct):
Mn  0.000  0.173  0.250
Mn  0.000  0.827  0.750
Mn  0.500  0.327  0.750
Mn  0.500  0.673  0.250
Nb  0.161  0.318  0.744
Nb  0.161  0.682  0.244
Nb  0.339  0.182  0.244
Nb  0.339  0.818  0.744
Nb  0.661  0.182  0.256
Nb  0.661  0.818  0.756
Nb  0.839  0.318  0.756
Nb  0.839  0.682  0.256
O  0.080  0.114  0.591
O  0.080  0.886  0.091
O  0.096  0.397  0.066
O  0.096  0.603  0.566
O  0.244  0.375  0.415
O  0.244  0.625  0.915
O  0.256  0.125  0.915
O  0.256  0.875  0.415
O  0.404  0.103  0.566
O  0.404  0.897  0.066
O  0.420  0.386  0.091
O  0.420  0.614  0.591
O  0.580  0.386  0.409
O  0.580  0.614  0.909
O  0.596  0.103  0.934
O  0.596  0.897  0.434
O  0.744  0.125  0.585
O  0.744  0.875  0.085
O  0.756  0.375  0.085
O  0.756  0.625  0.585
O  0.904  0.397  0.434
O  0.904  0.603  0.934
O  0.920  0.114  0.909
O  0.920  0.886  0.409

---

First-principles (meta-GGA r2SCAN) data for crystalline Mn2NbP12 at its relaxed geometry, as listed in the Materials Project database.

Values from the calculation:
- calculated density (g cm⁻³) = 4.26
- spin magnetization (μB per formula unit) = 1.0
- electronic total energy (eV/f.u.) = -167.9

Cell lengths 8.557, 8.557, 10.660 Å; angles 114.07, 114.07, 39.52 degrees
Positions (direct):
Mn  0.007  0.629  0.953
Mn  0.371  0.993  0.547
Mn  0.629  0.007  0.453
Mn  0.993  0.371  0.047
Nb  0.303  0.697  0.750
Nb  0.697  0.303  0.250
P  0.005  0.353  0.838
P  0.015  0.670  0.756
P  0.019  0.915  0.071
P  0.048  0.405  0.574
P  0.085  0.981  0.429
P  0.287  0.585  0.334
P  0.330  0.985  0.744
P  0.332  0.431  0.491
P  0.353  0.005  0.338
P  0.405  0.048  0.074
P  0.415  0.713  0.166
P  0.431  0.332  0.991
P  0.569  0.668  0.009
P  0.585  0.287  0.834
P  0.595  0.952  0.926
P  0.647  0.995  0.662
P  0.668  0.569  0.509
P  0.670  0.015  0.256
P  0.713  0.415  0.666
P  0.915  0.019  0.571
P  0.952  0.595  0.426
P  0.981  0.085  0.929
P  0.985  0.330  0.244
P  0.995  0.647  0.162

---

First-principles (meta-GGA r2SCAN) data for crystalline MnNbP at its relaxed geometry, as listed in the Materials Project database.

Values from the calculation:
- calculated density (g cm⁻³) = 7.21
- spin magnetization (μB per formula unit) = 2.5
- electronic total energy (eV/f.u.) = -50.9

Cell lengths 6.260, 3.510, 7.502 Å; angles 90.00, 90.00, 90.00 degrees
Positions (direct):
Mn  0.142  0.250  0.058
Mn  0.358  0.750  0.558
Mn  0.642  0.250  0.442
Mn  0.858  0.750  0.942
Nb  0.034  0.250  0.669
Nb  0.466  0.750  0.169
Nb  0.534  0.250  0.831
Nb  0.966  0.750  0.331
P  0.231  0.750  0.865
P  0.269  0.250  0.365
P  0.731  0.750  0.635
P  0.769  0.250  0.135

---

First-principles (meta-GGA r2SCAN) data for crystalline MnNb4S8 at its relaxed geometry, as listed in the Materials Project database.

Values from the calculation:
- calculated density (g cm⁻³) = 4.62
- spin magnetization (μB per formula unit) = 3.8
- electronic total energy (eV/f.u.) = -194.3

Cell lengths 6.735, 6.735, 12.489 Å; angles 90.00, 90.00, 120.00 degrees
Positions (direct):
Mn  0.000  0.000  0.000
Mn  0.000  0.000  0.500
Nb  0.000  0.000  0.250
Nb  0.000  0.000  0.750
Nb  0.014  0.507  0.250
Nb  0.493  0.507  0.250
Nb  0.493  0.986  0.250
Nb  0.507  0.014  0.750
Nb  0.507  0.493  0.750
Nb  0.986  0.493  0.750
S  0.168  0.336  0.626
S  0.168  0.336  0.874
S  0.168  0.832  0.626
S  0.168  0.832  0.874
S  0.333  0.667  0.121
S  0.333  0.667  0.379
S  0.336  0.168  0.126
S  0.336  0.168  0.374
S  0.664  0.832  0.626
S  0.664  0.832  0.874
S  0.667  0.333  0.621
S  0.667  0.333  0.879
S  0.832  0.168  0.126
S  0.832  0.168  0.374
S  0.832  0.664  0.126
S  0.832  0.664  0.374

---

First-principles (meta-GGA r2SCAN) data for crystalline MnNb3S6 at its relaxed geometry, as listed in the Materials Project database.

Values from the calculation:
- calculated density (g cm⁻³) = 4.70
- spin magnetization (μB per formula unit) = 4.3
- electronic total energy (eV/f.u.) = -149.9

Cell lengths 5.843, 5.843, 12.565 Å; angles 90.00, 90.00, 120.00 degrees
Positions (direct):
Mn  0.333  0.667  0.250
Mn  0.667  0.333  0.750
Nb  0.000  0.000  0.000
Nb  0.000  0.000  0.500
Nb  0.333  0.667  0.501
Nb  0.333  0.667  0.999
Nb  0.667  0.333  0.001
Nb  0.667  0.333  0.499
S  0.002  0.333  0.624
S  0.002  0.669  0.876
S  0.331  0.333  0.876
S  0.331  0.998  0.624
S  0.333  0.002  0.376
S  0.333  0.331  0.124
S  0.667  0.669  0.624
S  0.667  0.998  0.876
S  0.669  0.002  0.124
S  0.669  0.667  0.376
S  0.998  0.331  0.376
S  0.998  0.667  0.124

---

First-principles (meta-GGA r2SCAN) data for crystalline MnNb4Se8 at its relaxed geometry, as listed in the Materials Project database.

Values from the calculation:
- calculated density (g cm⁻³) = 6.29
- spin magnetization (μB per formula unit) = 3.9
- electronic total energy (eV/f.u.) = -241.6

Cell lengths 7.020, 7.020, 13.092 Å; angles 90.00, 90.00, 120.00 degrees
Positions (direct):
Mn  0.000  0.000  0.000
Mn  0.000  0.000  0.500
Nb  0.000  0.000  0.250
Nb  0.000  0.000  0.750
Nb  0.019  0.509  0.250
Nb  0.491  0.509  0.250
Nb  0.491  0.981  0.250
Nb  0.509  0.019  0.750
Nb  0.509  0.491  0.750
Nb  0.981  0.491  0.750
Se  0.169  0.338  0.625
Se  0.169  0.338  0.875
Se  0.169  0.831  0.625
Se  0.169  0.831  0.875
Se  0.333  0.667  0.117
Se  0.333  0.667  0.383
Se  0.338  0.169  0.125
Se  0.338  0.169  0.375
Se  0.662  0.831  0.625
Se  0.662  0.831  0.875
Se  0.667  0.333  0.617
Se  0.667  0.333  0.883
Se  0.831  0.169  0.125
Se  0.831  0.169  0.375
Se  0.831  0.662  0.125
Se  0.831  0.662  0.375

---

First-principles (meta-GGA r2SCAN) data for crystalline MnNbSi at its relaxed geometry, as listed in the Materials Project database.

Values from the calculation:
- calculated density (g cm⁻³) = 6.62
- spin magnetization (μB per formula unit) = 2.9
- electronic total energy (eV/f.u.) = -50.0

Cell lengths 6.486, 6.486, 3.636 Å; angles 90.00, 90.00, 120.00 degrees
Positions (direct):
Mn  0.000  0.247  0.000
Mn  0.247  0.000  0.000
Mn  0.753  0.753  0.000
Nb  0.000  0.585  0.500
Nb  0.415  0.415  0.500
Nb  0.585  0.000  0.500
Si  0.000  0.000  0.500
Si  0.333  0.667  0.000
Si  0.667  0.333  0.000

---

First-principles (meta-GGA r2SCAN) data for crystalline NdMn2O5 at its relaxed geometry, as listed in the Materials Project database.

Values from the calculation:
- calculated density (g cm⁻³) = 6.00
- spin magnetization (μB per formula unit) = 7.0
- electronic total energy (eV/f.u.) = -110.4

Cell lengths 7.495, 8.633, 5.722 Å; angles 90.00, 90.00, 90.00 degrees
Positions (direct):
Nd  0.141  0.172  0.000
Nd  0.359  0.672  0.000
Nd  0.641  0.328  0.000
Nd  0.859  0.828  0.000
Mn  0.000  0.500  0.257
Mn  0.000  0.500  0.743
Mn  0.090  0.851  0.500
Mn  0.410  0.351  0.500
Mn  0.500  0.000  0.257
Mn  0.500  0.000  0.743
Mn  0.590  0.649  0.500
Mn  0.910  0.149  0.500
O  0.000  0.000  0.278
O  0.000  0.000  0.722
O  0.098  0.706  0.251
O  0.098  0.706  0.749
O  0.153  0.437  0.500
O  0.157  0.448  0.000
O  0.343  0.948  0.000
O  0.347  0.937  0.500
O  0.402  0.206  0.251
O  0.402  0.206  0.749
O  0.500  0.500  0.278
O  0.500  0.500  0.722
O  0.598  0.794  0.251
O  0.598  0.794  0.749
O  0.653  0.063  0.500
O  0.657  0.052  0.000
O  0.843  0.552  0.000
O  0.847  0.563  0.500
O  0.902  0.294  0.251
O  0.902  0.294  0.749

---

First-principles (meta-GGA r2SCAN) data for crystalline SrNd2Mn3O9 at its relaxed geometry, as listed in the Materials Project database.

Values from the calculation:
- calculated density (g cm⁻³) = 6.62
- spin magnetization (μB per formula unit) = 11.0
- electronic total energy (eV/f.u.) = -215.6

Cell lengths 16.362, 7.684, 5.464 Å; angles 90.00, 90.00, 90.00 degrees
Positions (direct):
Sr  0.161  0.250  0.005
Sr  0.339  0.750  0.505
Sr  0.661  0.250  0.495
Sr  0.839  0.750  0.995
Nd  0.009  0.750  0.507
Nd  0.177  0.750  0.996
Nd  0.323  0.250  0.496
Nd  0.491  0.250  0.007
Nd  0.509  0.750  0.993
Nd  0.677  0.750  0.504
Nd  0.823  0.250  0.004
Nd  0.991  0.250  0.493
Mn  0.000  0.000  0.000
Mn  0.000  0.500  0.000
Mn  0.166  0.000  0.502
Mn  0.166  0.500  0.502
Mn  0.334  0.000  0.002
Mn  0.334  0.500  0.002
Mn  0.500  0.000  0.500
Mn  0.500  0.500  0.500
Mn  0.666  0.000  0.998
Mn  0.666  0.500  0.998
Mn  0.834  0.000  0.498
Mn  0.834  0.500  0.498
O  0.002  0.250  0.930
O  0.071  0.028  0.284
O  0.071  0.472  0.284
O  0.091  0.544  0.778
O  0.091  0.956  0.778
O  0.162  0.750  0.434
O  0.168  0.250  0.549
O  0.245  0.027  0.238
O  0.245  0.473  0.238
O  0.255  0.527  0.738
O  0.255  0.973  0.738
O  0.332  0.750  0.049
O  0.338  0.250  0.934
O  0.409  0.044  0.278
O  0.409  0.456  0.278
O  0.429  0.528  0.784
O  0.429  0.972  0.784
O  0.498  0.750  0.430
O  0.502  0.250  0.570
O  0.571  0.028  0.216
O  0.571  0.472  0.216
O  0.591  0.544  0.722
O  0.591  0.956  0.722
O  0.662  0.750  0.066
O  0.668  0.250  0.951
O  0.745  0.027  0.262
O  0.745  0.473  0.262
O  0.755  0.527  0.762
O  0.755  0.973  0.762
O  0.832  0.750  0.451
O  0.838  0.250  0.566
O  0.909  0.044  0.222
O  0.909  0.456  0.222
O  0.929  0.528  0.716
O  0.929  0.972  0.716
O  0.998  0.750  0.070

---

First-principles (meta-GGA r2SCAN) data for crystalline NdMnSi2 at its relaxed geometry, as listed in the Materials Project database.

Values from the calculation:
- calculated density (g cm⁻³) = 5.94
- spin magnetization (μB per formula unit) = 2.2
- electronic total energy (eV/f.u.) = -64.3

Cell lengths 9.076, 9.076, 3.975 Å; angles 90.00, 90.00, 154.13 degrees
Positions (direct):
Nd  0.101  0.899  0.750
Nd  0.899  0.101  0.250
Mn  0.250  0.750  0.250
Mn  0.750  0.250  0.750
Si  0.324  0.676  0.750
Si  0.464  0.536  0.750
Si  0.536  0.464  0.250
Si  0.676  0.324  0.250

---

First-principles (meta-GGA r2SCAN) data for crystalline NdMn2Si2 at its relaxed geometry, as listed in the Materials Project database.

Values from the calculation:
- calculated density (g cm⁻³) = 6.15
- spin magnetization (μB per formula unit) = 4.7
- electronic total energy (eV/f.u.) = -79.4

Cell lengths 6.030, 6.030, 6.030 Å; angles 141.67, 141.67, 55.33 degrees
Positions (direct):
Nd  0.000  0.000  0.000
Mn  0.250  0.750  0.500
Mn  0.750  0.250  0.500
Si  0.379  0.379  0.000
Si  0.621  0.621  0.000

---

First-principles (meta-GGA r2SCAN) data for crystalline MnNi at its relaxed geometry, as listed in the Materials Project database.

Values from the calculation:
- calculated density (g cm⁻³) = 7.62
- spin magnetization (μB per formula unit) = 4.7
- electronic total energy (eV/f.u.) = -27.4

Cell lengths 2.928, 2.928, 2.889 Å; angles 90.00, 90.00, 90.00 degrees
Positions (direct):
Mn  0.000  0.000  0.000
Ni  0.500  0.500  0.500